No. 1
This record from the Materials Project describes SmFeB4 after structural relaxation. The functional is GGA-PBE.

Structure (POSCAR):
```
SmFeB4
1.0
-0.1268 3.2841 1.0215
-4.7682 0.8933 -3.4637
-6.9082 -2.9850 8.7399
Sm B Fe
4 16 4
Direct
0.0000 0.6263 0.3494
0.0000 0.8737 0.8494
0.0000 0.3737 0.6506
0.0000 0.1263 0.1506
0.5000 0.2798 0.3178
0.5000 0.9769 0.3116
0.5000 0.8585 0.0322
0.5000 0.4769 0.1884
0.5000 0.6102 0.9548
0.5000 0.7202 0.6822
0.5000 0.2202 0.8178
0.5000 0.8898 0.4548
0.5000 0.1415 0.9678
0.5000 0.6415 0.5322
0.5000 0.3898 0.0452
0.5000 0.7798 0.1822
0.5000 0.1102 0.5452
0.5000 0.5231 0.8116
0.5000 0.3585 0.4678
0.5000 0.0231 0.6884
0.0000 0.8683 0.5875
0.0000 0.6317 0.0875
0.0000 0.3683 0.9125
0.0000 0.1317 0.4125
```

Calculated values
energy relative to the elements: -0.53 eV per atom

=====

No. 2
This record from the Materials Project describes Sm4Fe3B6 after structural relaxation. The functional is GGA-PBE.

Structure (POSCAR):
```
Sm4Fe3B6
1.0
-2.6787 -4.6397 0.0000
-5.3575 0.0000 0.0000
-2.6787 -1.5466 -7.4479
B Sm Fe
6 4 3
Direct
0.5000 0.8329 0.5000
0.8329 0.1671 0.5000
0.5000 0.1671 0.5000
0.1671 0.5000 0.5000
0.1671 0.8329 0.5000
0.8329 0.5000 0.5000
0.5888 0.5888 0.2336
0.7432 0.7432 0.7703
0.2568 0.2568 0.2297
0.4112 0.4112 0.7664
0.8850 0.8850 0.3450
0.0000 0.0000 0.0000
0.1150 0.1150 0.6550
```

Calculated values
energy relative to the elements: -0.33 eV per atom

=====

No. 3
This record from the Materials Project describes Tb3FeB7 after structural relaxation. The functional is GGA-PBE.

Structure (POSCAR):
```
Tb3FeB7
1.0
-1.3688 4.0570 6.8426
-1.0914 -5.9403 -5.3549
6.5254 -5.1031 4.3310
B Tb Fe
14 6 2
Direct
0.3701 0.6299 0.8467
0.4777 0.5223 0.9005
0.6299 0.3701 0.3467
0.7275 0.2725 0.4675
0.4610 0.5390 0.2500
0.5223 0.4777 0.4005
0.5390 0.4610 0.7500
0.4777 0.5223 0.5995
0.2725 0.7275 0.5325
0.2725 0.7275 0.9675
0.3701 0.6299 0.6533
0.5223 0.4777 0.0995
0.6299 0.3701 0.1533
0.7275 0.2725 0.0325
0.8953 0.1047 0.4398
0.2430 0.7570 0.2500
0.1047 0.8953 0.9398
0.7570 0.2430 0.7500
0.1047 0.8953 0.5602
0.8953 0.1047 0.0602
0.9452 0.0548 0.7500
0.0548 0.9452 0.2500
```

Calculated values
energy relative to the elements: -0.57 eV per atom

=====

No. 4
This record from the Materials Project describes Tb2Fe14B after structural relaxation. The functional is GGA-PBE.

Structure (POSCAR):
```
Tb2Fe14B
1.0
-2.6706 -4.8714 -6.7427
-0.6121 -6.9474 5.2617
-11.3263 2.8409 2.4335
Fe B Tb
56 4 8
Direct
0.5664 0.2245 0.3736
0.4026 0.5974 0.2009
0.0000 0.0000 0.8841
0.5370 0.1409 0.1749
0.7245 0.9336 0.1264
0.1409 0.5370 0.8251
0.5974 0.4026 0.7991
0.3591 0.0370 0.6749
0.8172 0.1828 0.7542
0.9026 0.9026 0.2991
0.0000 0.0000 0.1159
0.7245 0.9336 0.8736
0.9630 0.6409 0.6749
0.0664 0.2755 0.1264
0.8591 0.4630 0.1749
0.3172 0.3172 0.7458
0.6828 0.6828 0.2542
0.0664 0.2755 0.8736
0.0000 0.5000 0.0000
0.1409 0.5370 0.1749
0.6828 0.6828 0.7458
0.5974 0.4026 0.2009
0.0974 0.0974 0.7009
0.7755 0.4336 0.3736
0.5370 0.1409 0.8251
0.8172 0.1828 0.2458
0.2245 0.5664 0.6264
0.4336 0.7755 0.6264
0.4630 0.8591 0.1749
0.5000 0.0000 0.5000
0.9026 0.9026 0.7009
0.2245 0.5664 0.3736
0.8591 0.4630 0.8251
0.6409 0.9630 0.6749
0.5000 0.0000 0.0000
0.9336 0.7245 0.1264
0.9630 0.6409 0.3251
0.0000 0.5000 0.5000
0.3591 0.0370 0.3251
0.2755 0.0664 0.1264
0.0974 0.0974 0.2991
0.1828 0.8172 0.2458
0.0370 0.3591 0.3251
0.5664 0.2245 0.6264
0.7755 0.4336 0.6264
0.3172 0.3172 0.2542
0.9336 0.7245 0.8736
0.0370 0.3591 0.6749
0.4336 0.7755 0.3736
0.2755 0.0664 0.8736
0.1828 0.8172 0.7542
0.6409 0.9630 0.3251
0.5000 0.5000 0.3841
0.4026 0.5974 0.7991
0.4630 0.8591 0.8251
0.5000 0.5000 0.6159
0.6243 0.3757 0.5000
0.3757 0.6243 0.5000
0.1243 0.1243 0.0000
0.8757 0.8757 0.0000
0.6435 0.6435 0.0000
0.7675 0.2325 0.0000
0.3565 0.3565 0.0000
0.2325 0.7675 0.0000
0.7325 0.7325 0.5000
0.2675 0.2675 0.5000
0.1435 0.8565 0.5000
0.8565 0.1435 0.5000
```

Calculated values
energy relative to the elements: -0.10 eV per atom

=====

No. 5
This record from the Materials Project describes TbFeB4 after structural relaxation. The functional is GGA-PBE.

Structure (POSCAR):
```
TbFeB4
1.0
-2.9547 1.0491 -1.2972
-2.6946 -1.2958 5.0895
2.0855 10.5654 3.7942
Tb Fe B
4 4 16
Direct
0.5000 0.6258 0.8499
0.5000 0.3742 0.1501
0.5000 0.8742 0.3499
0.5000 0.1258 0.6501
0.5000 0.1329 0.9115
0.5000 0.6329 0.5885
0.5000 0.3671 0.4115
0.5000 0.8671 0.0885
0.0000 0.2810 0.8164
0.0000 0.8599 0.5320
0.0000 0.6111 0.4543
0.0000 0.3599 0.9680
0.0000 0.3889 0.5457
0.0000 0.0244 0.1896
0.0000 0.7190 0.1836
0.0000 0.1111 0.0457
0.0000 0.8889 0.9543
0.0000 0.2190 0.3164
0.0000 0.5244 0.3104
0.0000 0.7810 0.6836
0.0000 0.9756 0.8104
0.0000 0.4756 0.6896
0.0000 0.1401 0.4680
0.0000 0.6401 0.0320
```

Calculated values
energy relative to the elements: -0.60 eV per atom

=====

No. 6
This record from the Materials Project describes Tb4Fe3B6 after structural relaxation. The functional is GGA-PBE.

Structure (POSCAR):
```
Tb4Fe3B6
1.0
-2.6655 -4.6167 0.0000
-5.3309 0.0000 0.0000
-2.6655 -1.5389 -7.3384
Tb Fe B
4 3 6
Direct
0.7444 0.7444 0.7667
0.4122 0.4122 0.7635
0.5878 0.5878 0.2365
0.2556 0.2556 0.2333
0.0000 0.0000 0.0000
0.1135 0.1135 0.6596
0.8865 0.8865 0.3404
0.1673 0.5000 0.5000
0.8327 0.5000 0.5000
0.5000 0.8327 0.5000
0.8327 0.1673 0.5000
0.5000 0.1673 0.5000
0.1673 0.8327 0.5000
```

Calculated values
energy relative to the elements: -0.39 eV per atom

=====

No. 7
This record from the Materials Project describes Th2FeB10 after structural relaxation. The functional is GGA-PBE.

Structure (POSCAR):
```
Th2FeB10
1.0
4.1808 0.0000 0.0000
0.0000 5.6296 0.0000
0.0000 0.0000 11.2477
B Th Fe
20 4 2
Direct
0.7005 0.2950 0.6138
0.2995 0.2050 0.1138
0.7005 0.2050 0.1138
0.0000 0.1477 0.6970
0.0000 0.8523 0.3030
0.0000 0.6269 0.9600
0.0000 0.8731 0.4600
0.0000 0.3523 0.1970
0.7005 0.7050 0.3862
0.0000 0.5396 0.3125
0.0000 0.9604 0.8125
0.2995 0.7050 0.3862
0.0000 0.1269 0.5400
0.0000 0.0396 0.1875
0.0000 0.3731 0.0400
0.2995 0.7950 0.8862
0.0000 0.6477 0.8030
0.2995 0.2950 0.6138
0.7005 0.7950 0.8862
0.0000 0.4604 0.6875
0.5000 0.2909 0.8687
0.5000 0.2091 0.3687
0.5000 0.7909 0.6313
0.5000 0.7091 0.1313
0.0000 0.0000 0.0000
0.0000 0.5000 0.5000
```

Calculated values
energy relative to the elements: -0.61 eV per atom

=====

No. 8
This record from the Materials Project describes Th2Fe14B after structural relaxation. The functional is GGA-PBE.

Structure (POSCAR):
```
Th2Fe14B
1.0
-5.8310 2.7654 5.9275
1.2422 -7.3282 4.6408
8.8394 5.4075 6.1728
Fe Th B
56 8 4
Direct
0.4625 0.8598 0.6752
0.5000 0.0000 0.5000
0.3598 0.0375 0.8248
0.5375 0.1403 0.6752
0.5974 0.4026 0.2981
0.0000 0.5000 0.0000
0.5375 0.1403 0.3248
0.7759 0.4335 0.8724
0.0000 0.5000 0.5000
0.5000 0.5000 0.1158
0.1820 0.8180 0.2537
0.3180 0.3180 0.7537
0.2241 0.5665 0.8724
0.5000 0.5000 0.8842
0.9026 0.9026 0.7981
0.4026 0.5974 0.2981
0.2759 0.0665 0.3724
0.8180 0.1820 0.2537
0.6820 0.6820 0.2463
0.4335 0.7759 0.1276
0.0375 0.3598 0.8248
0.9625 0.6402 0.1752
0.0974 0.0974 0.7981
0.0375 0.3598 0.1752
0.5000 0.0000 0.0000
0.4625 0.8598 0.3248
0.9335 0.7241 0.6276
0.1820 0.8180 0.7463
0.9625 0.6402 0.8248
0.5665 0.2241 0.1276
0.7241 0.9335 0.3724
0.0974 0.0974 0.2019
0.0665 0.2759 0.3724
0.2241 0.5665 0.1276
0.8180 0.1820 0.7463
0.5974 0.4026 0.7019
0.1403 0.5375 0.6752
0.1403 0.5375 0.3248
0.4335 0.7759 0.8724
0.0000 0.0000 0.3842
0.7241 0.9335 0.6276
0.6402 0.9625 0.8248
0.6820 0.6820 0.7537
0.2759 0.0665 0.6276
0.0000 0.0000 0.6158
0.6402 0.9625 0.1752
0.7759 0.4335 0.1276
0.3180 0.3180 0.2463
0.8598 0.4625 0.6752
0.9335 0.7241 0.3724
0.0665 0.2759 0.6276
0.8598 0.4625 0.3248
0.5665 0.2241 0.8724
0.9026 0.9026 0.2019
0.3598 0.0375 0.1752
0.4026 0.5974 0.7019
0.1464 0.8536 0.0000
0.8536 0.1464 0.0000
0.2286 0.7714 0.5000
0.3536 0.3536 0.5000
0.7286 0.7286 0.0000
0.7714 0.2286 0.5000
0.6464 0.6464 0.5000
0.2714 0.2714 0.0000
0.8773 0.8773 0.5000
0.6227 0.3773 0.0000
0.3773 0.6227 0.0000
0.1227 0.1227 0.5000
```

Calculated values
energy relative to the elements: -0.10 eV per atom